Entry 1:
Entry from Materials Project: an optimized crystal structure of RbCuCl3 (GGA-PBE).

abc: 6.993 7.037 12.565
angles: 90.54 90.00 119.79
Fractional coordinates of all 20 atoms:
Rb 0.685 0.333 0.375
Rb 0.352 0.667 0.125
Rb 0.315 0.667 0.625
Rb 0.648 0.333 0.875
Cu 0.045 0.000 0.250
Cu 0.000 0.000 0.000
Cu 0.000 0.000 0.500
Cu 0.955 0.000 0.750
Cl 0.123 0.858 0.862
Cl 0.735 0.858 0.362
Cl 0.853 0.674 0.089
Cl 0.265 0.142 0.638
Cl 0.812 0.173 0.650
Cl 0.821 0.674 0.589
Cl 0.188 0.827 0.350
Cl 0.361 0.173 0.150
Cl 0.639 0.827 0.850
Cl 0.877 0.142 0.138
Cl 0.147 0.326 0.911
Cl 0.179 0.326 0.411

Values from the calculation:
space-group type: C2/c (15)
mass density: 3.16 g cm⁻³
ΔE_f: -1.46 eV per atom
V: 26.8 A^3/atom
total energy: -64.382 eV/cell

Entry 2:
Entry from Materials Project: an optimized crystal structure of Rb2CuCl4 (GGA-PBE).

abc: 8.778 8.778 8.778
angles: 147.26 147.26 46.98
Fractional coordinates of all 7 atoms:
Rb 0.642 0.642 0.000
Rb 0.358 0.358 0.000
Cu 0.000 0.000 0.000
Cl 0.849 0.849 0.000
Cl 0.151 0.151 0.000
Cl 0.500 0.000 0.500
Cl 0.000 0.500 0.500

Values from the calculation:
space-group type: I4/mmm (139)
mass density: 3.17 g cm⁻³
ΔE_f: -1.68 eV per atom
V: 28.1 A^3/atom
total energy: -22.769 eV/cell

Entry 3:
Entry from Materials Project: an optimized crystal structure of RbCuCl3 (GGA-PBE).

abc: 6.413 7.153 11.947
angles: 90.00 90.00 90.00
Fractional coordinates of all 20 atoms:
Rb 0.250 0.500 0.838
Rb 0.750 0.000 0.662
Rb 0.750 0.500 0.162
Rb 0.250 0.000 0.338
Cu 0.500 0.000 0.000
Cu 0.000 0.500 0.500
Cu 0.500 0.500 0.500
Cu 0.000 0.000 0.000
Cl 0.750 0.500 0.644
Cl 0.250 0.000 0.856
Cl 0.250 0.500 0.356
Cl 0.750 0.000 0.144
Cl 0.675 0.759 0.914
Cl 0.175 0.741 0.586
Cl 0.325 0.259 0.586
Cl 0.825 0.241 0.914
Cl 0.175 0.759 0.086
Cl 0.675 0.741 0.414
Cl 0.825 0.259 0.414
Cl 0.325 0.241 0.086

Values from the calculation:
space-group type: Pbcn (60)
mass density: 3.09 g cm⁻³
ΔE_f: -1.46 eV per atom
V: 27.4 A^3/atom
total energy: -64.433 eV/cell

Entry 4:
Entry from Materials Project: an optimized crystal structure of RbCuCl3 (GGA-PBE).

abc: 7.049 7.049 12.589
angles: 89.37 89.37 59.52
Fractional coordinates of all 20 atoms:
Rb 0.337 0.322 0.125
Rb 0.380 0.291 0.624
Rb 0.678 0.663 0.875
Rb 0.709 0.620 0.376
Cu 0.982 0.018 0.000
Cu 0.023 0.971 0.250
Cu 0.077 0.923 0.500
Cu 0.029 0.977 0.750
Cl 0.668 0.163 0.900
Cl 0.392 0.781 0.599
Cl 0.763 0.089 0.390
Cl 0.288 0.846 0.113
Cl 0.881 0.799 0.662
Cl 0.175 0.157 0.838
Cl 0.837 0.332 0.100
Cl 0.911 0.237 0.610
Cl 0.219 0.608 0.401
Cl 0.201 0.119 0.338
Cl 0.843 0.825 0.162
Cl 0.154 0.712 0.887

Values from the calculation:
space-group type: C2 (5)
mass density: 3.15 g cm⁻³
ΔE_f: -1.46 eV per atom
V: 26.9 A^3/atom
total energy: -64.389 eV/cell